# ZrMo2O8 PBE+U optimized geometry
# - energy with MP2020 corrections (eV for the cell shown) = -386.74
# - energy of formation (eV per atom) = -2.442
# - final energy (eV for the cell shown) = -339.1
data_ZrMo2O8
_chemical_formula_sum 'Zr4 Mo8 O32'
_cell_length_a 11.635
_cell_length_b 8.076
_cell_length_c 7.615
_cell_angle_alpha 90.00
_cell_angle_beta 122.44
_cell_angle_gamma 90.00
_symmetry_space_group_name_H-M 'C 1 2/c 1'
_symmetry_Int_Tables_number 15
_symmetry_space_group_name_Hall '-C 2yc'
loop_
_atom_site_label
_atom_site_type_symbol
_atom_site_fract_x
_atom_site_fract_y
_atom_site_fract_z
Zr1 Zr 0.000 0.021 0.250
Mo1 Mo 0.216 0.279 0.759
O1 O 0.093 0.115 0.578
O2 O 0.129 0.462 0.668
O3 O 0.149 0.199 0.289
O4 O 0.154 0.163 0.938


# ZrMo2O8 PBE+U optimized geometry
# - energy with MP2020 corrections (eV for the cell shown) = -96.95
# - energy of formation (eV per atom) = -2.466
# - final energy (eV for the cell shown) = -85.0
data_ZrMo2O8
_chemical_formula_sum 'Zr1 Mo2 O8'
_cell_length_a 5.9599
_cell_length_b 5.9599
_cell_length_c 6.5814
_cell_angle_alpha 90.00
_cell_angle_beta 90.00
_cell_angle_gamma 120.00
_symmetry_space_group_name_H-M 'P -3 m 1'
_symmetry_Int_Tables_number 164
_symmetry_space_group_name_Hall '-P 3 2"'
loop_
_atom_site_label
_atom_site_type_symbol
_atom_site_fract_x
_atom_site_fract_y
_atom_site_fract_z
Zr1 Zr 0.0000 0.0000 0.0000
Mo1 Mo 0.3333 0.6667 0.2758
O1 O 0.1673 0.3345 0.1828
O2 O 0.3333 0.6667 0.5381


# ZrMo2O8 PBE+U optimized geometry
# - energy with MP2020 corrections (eV for the cell shown) = -193.60
# - energy of formation (eV per atom) = -2.452
# - final energy (eV for the cell shown) = -169.8
data_ZrMo2O8
_chemical_formula_sum 'Zr2 Mo4 O16'
_cell_length_a 10.178
_cell_length_b 6.003
_cell_length_c 6.034
_cell_angle_alpha 90.00
_cell_angle_beta 91.85
_cell_angle_gamma 90.00
_symmetry_space_group_name_H-M 'C 1 2/m 1'
_symmetry_Int_Tables_number 12
_symmetry_space_group_name_Hall '-C 2y'
loop_
_atom_site_label
_atom_site_type_symbol
_atom_site_fract_x
_atom_site_fract_y
_atom_site_fract_z
Zr1 Zr 0.000 0.000 0.000
Mo1 Mo 0.171 0.500 0.710
O1 O 0.105 0.249 0.836
O2 O 0.138 0.500 0.428
O3 O 0.151 0.000 0.250


# Zr9Mo4O3 PBE+U optimized geometry
# - energy with MP2020 corrections (eV for the cell shown) = -293.14
# - energy of formation (eV per atom) = -0.713
# - final energy (eV for the cell shown) = -263.4
data_Zr9Mo4O3
_chemical_formula_sum 'Zr18 Mo8 O6'
_cell_length_a 8.7282
_cell_length_b 8.7282
_cell_length_c 8.5518
_cell_angle_alpha 90.00
_cell_angle_beta 90.00
_cell_angle_gamma 120.00
_symmetry_space_group_name_H-M 'P 63/m m c'
_symmetry_Int_Tables_number 194
_symmetry_space_group_name_Hall '-P 6c 2c'
loop_
_atom_site_label
_atom_site_type_symbol
_atom_site_fract_x
_atom_site_fract_y
_atom_site_fract_z
Zr1 Zr 0.0929 0.5464 0.2500
Zr2 Zr 0.2061 0.4123 0.5638
Mo1 Mo 0.0000 0.0000 0.0000
Mo2 Mo 0.1084 0.2167 0.2500
O1 O 0.0000 0.5000 0.0000